Record 1
VASP calculation (PBE-GGA) on a geometry-optimized KH3CO6 structure.

The calculation puts the total energy at -5.5311 eV/atom. For the formation energy, the calculation gives -1.342 eV per atom. The total magnetic moment is 0.0 μB per cell.

The structure belongs to space group Pbca (No. 61); the cell edges are 8.945, 13.090 and 9.185 Å and the angles 90.00°, 90.00° and 90.00°. The inequivalent atoms are K at (0.089, 0.185, 0.231), H at (0.134, 0.654, 0.982), H at (0.139, 0.004, 0.610), H at (0.162, 0.664, 0.531), C at (0.177, 0.011, 0.899), O at (0.053, 0.030, 0.670), O at (0.060, 0.709, 0.001), O at (0.131, 0.079, 0.792), O at (0.148, 0.724, 0.598), O at (0.162, 0.584, 0.382) and O at (0.233, 0.059, 0.006).

=====

Record 2
VASP calculation (PBE-GGA) on a geometry-optimized DyPa structure.

The calculation puts the total energy at -6.8666 eV/atom. For the formation energy, the calculation gives 0.194 eV per atom. The total magnetic moment is 0.0 μB per cell.

The structure belongs to space group P-6m2 (No. 187); the cell edges are 3.3035, 3.3035 and 5.7814 Å and the angles 90.00°, 90.00° and 120.00°. The inequivalent atoms are Dy at (0.0000, 0.0000, 0.0000) and Pa at (0.6667, 0.3333, 0.5000).